First-principles (r2SCAN) data for PrGdAl4 after structural relaxation, as listed in the Materials Project.

## Properties
- Final energy: -17.165 eV/atom
- Formation energy: -0.544 eV/atom
- Space group: F-43m, No. 216

Unit cell a=5.639 b=5.639 c=5.639 alpha=60.00 beta=60.00 gamma=60.00
Sites, in units of the cell vectors:
1 Pr 0.000 0.000 0.000
2 Gd 0.250 0.250 0.250
3 Al 0.125 0.625 0.625
4 Al 0.625 0.625 0.625
5 Al 0.625 0.125 0.625
6 Al 0.625 0.625 0.125